! K2TeMo2P2O14 | the Materials Project | r2SCAN | relaxed; values from VASP
&SYSTEM
  ibrav = 0, nat = 84, ntyp = 5
/
ATOMIC_SPECIES
O 16.00 O.upf
Mo 95.94 Mo.upf
K 39.10 K.upf
P 30.97 P.upf
Te 127.60 Te.upf
CELL_PARAMETERS angstrom
8.637 0.000 0.000
0.000 11.092 0.000
0.000 0.000 12.553
ATOMIC_POSITIONS angstrom
O 1.965 6.154 2.899
O 5.948 9.359 4.239
O 2.354 4.938 9.175
O 3.955 10.555 1.538
O 1.630 7.280 10.516
O 4.133 6.111 4.676
O 6.744 3.826 7.163
O 6.312 6.206 5.857
O 1.351 4.088 1.645
O 5.670 4.088 4.632
O 1.630 9.359 2.037
O 2.325 0.660 5.857
O 8.452 10.528 10.952
O 6.672 0.608 2.899
O 0.363 5.009 4.738
O 0.185 4.982 10.952
O 1.893 9.372 7.163
O 7.285 7.004 10.908
O 2.325 4.886 6.696
O 6.672 4.938 9.653
O 4.681 5.009 1.538
O 1.994 6.206 0.419
O 6.643 0.660 0.419
O 7.007 1.734 10.516
O 4.504 0.565 4.676
O 2.688 1.734 8.313
O 6.643 4.886 12.133
O 6.744 1.720 5.390
O 6.283 6.154 3.377
O 4.504 4.982 7.877
O 3.955 6.084 11.014
O 1.994 10.432 12.133
O 2.967 7.004 7.921
O 6.212 7.266 0.887
O 6.312 10.432 6.696
O 4.681 0.538 11.014
O 2.425 3.826 11.666
O 0.185 0.565 1.601
O 2.688 3.812 4.239
O 5.670 1.458 7.921
O 2.354 0.608 3.377
O 4.133 10.528 7.877
O 7.285 9.634 1.645
O 1.351 1.458 10.908
O 2.967 9.634 4.632
O 6.212 9.372 11.666
O 2.425 1.720 0.887
O 1.893 7.266 5.390
O 7.007 3.812 2.037
O 5.948 7.280 8.313
O 8.452 6.111 1.601
O 8.274 6.084 7.814
O 6.283 10.484 9.175
O 8.274 10.555 4.738
O 0.363 0.538 7.814
O 1.965 10.484 9.653
Mo 2.284 5.789 11.045
Mo 6.352 0.243 11.045
Mo 6.603 5.789 7.784
Mo 2.284 10.849 1.507
Mo 2.034 5.303 4.769
Mo 2.034 0.243 7.784
Mo 6.352 5.303 1.507
Mo 6.603 10.849 4.769
K 0.230 3.119 8.762
K 4.549 3.119 10.067
K 4.549 2.427 2.485
K 8.406 8.666 8.762
K 0.230 2.427 3.791
K 4.088 7.973 2.485
K 8.406 7.973 3.791
K 4.088 8.666 10.067
P 7.382 0.076 1.637
P 7.382 5.470 10.915
P 1.255 11.016 10.915
P 5.573 5.622 4.639
P 3.064 5.470 7.914
P 5.573 11.016 7.914
P 3.064 0.076 4.639
P 1.255 5.622 1.637
Te 1.160 2.773 0.000
Te 5.479 2.773 6.276
Te 3.158 8.319 6.276
Te 7.476 8.319 0.000
! Energy relative to the elements (kcal/mol of atoms): -50.4